[1]
This record from the Materials Project describes crystalline Mg6NbFe at its relaxed geometry. The functional is PBE-GGA.

a = 4.673 Å, b = 5.968 Å, c = 10.877 Å
α = 90.00°, β = 90.00°, γ = 90.00°
Element x y z (fractional)
Mg1 0.000 0.760 0.580
Mg2 0.500 0.500 0.668
Fe1 0.000 0.000 0.804
Fe2 0.000 0.500 0.304
Mg3 0.000 0.740 0.080
Mg4 0.500 0.760 0.923
Mg5 0.000 0.000 0.328
Mg6 0.500 0.000 0.168
Mg7 0.500 0.260 0.423
Nb1 0.500 0.000 0.693
Mg8 0.500 0.240 0.923
Mg9 0.500 0.740 0.423
Mg10 0.000 0.240 0.580
Nb2 0.500 0.500 0.193
Mg11 0.000 0.260 0.080
Mg12 0.000 0.500 0.828

## Properties
Energy relative to the lowest polymorph listed for this composition in eV/atom: 0.000

[2]
This record from the Materials Project describes crystalline Mg6FeNi at its relaxed geometry. The functional is PBE-GGA.

a = 4.614 Å, b = 6.044 Å, c = 10.090 Å
α = 90.00°, β = 90.00°, γ = 90.00°
Element x y z (fractional)
Mg1 0.500 0.500 0.176
Mg2 0.500 0.253 0.408
Mg3 0.500 0.753 0.908
Fe1 0.000 0.500 0.332
Fe2 0.000 0.000 0.832
Mg4 0.000 0.751 0.584
Ni1 0.000 0.000 0.332
Ni2 0.000 0.500 0.832
Mg5 0.000 0.249 0.584
Mg6 0.500 0.500 0.676
Mg7 0.000 0.251 0.084
Mg8 0.500 0.000 0.176
Mg9 0.500 0.247 0.908
Mg10 0.000 0.749 0.084
Mg11 0.500 0.747 0.408
Mg12 0.500 0.000 0.676

## Properties
Energy relative to the lowest polymorph listed for this composition in eV/atom: 0.052

[3]
This record from the Materials Project describes crystalline Mg14FeNi at its relaxed geometry. The functional is PBE-GGA.

a = 6.146 Å, b = 6.146 Å, c = 9.693 Å
α = 90.00°, β = 90.00°, γ = 120.00°
Element x y z (fractional)
Mg1 0.324 0.176 0.876
Fe1 0.167 0.333 0.125
Mg2 0.833 0.667 0.876
Mg3 0.852 0.176 0.876
Mg4 0.324 0.648 0.876
Mg5 0.666 0.332 0.125
Mg6 0.324 0.176 0.374
Ni1 0.167 0.333 0.625
Mg7 0.833 0.667 0.374
Mg8 0.667 0.333 0.625
Mg9 0.167 0.833 0.625
Mg10 0.852 0.176 0.374
Mg11 0.666 0.834 0.125
Mg12 0.324 0.648 0.374
Mg13 0.667 0.833 0.625
Mg14 0.168 0.834 0.125

## Properties
Energy relative to the lowest polymorph listed for this composition in eV/atom: 0.047
Space group: P-6m2 (187)

[4]
This record from the Materials Project describes crystalline Mg6FeNi at its relaxed geometry. The functional is PBE-GGA.

a = 6.131 Å, b = 6.131 Å, c = 4.708 Å
α = 90.00°, β = 90.00°, γ = 122.36°
Element x y z (fractional)
Mg1 0.149 0.326 0.500
Mg2 0.674 0.851 0.500
Fe1 0.687 0.313 0.500
Mg3 0.167 0.833 0.500
Mg4 0.333 0.667 0.000
Mg5 0.827 0.646 0.000
Ni1 0.810 0.190 0.000
Mg6 0.354 0.173 0.000

## Properties
Energy relative to the lowest polymorph listed for this composition in eV/atom: 0.030
Space group: Amm2 (38)

[5]
This record from the Materials Project describes crystalline Mg14FeNi at its relaxed geometry. The functional is PBE-GGA.

a = 6.268 Å, b = 6.338 Å, c = 9.718 Å
α = 90.00°, β = 90.00°, γ = 120.37°
Element x y z (fractional)
Mg1 0.174 0.837 0.625
Mg2 0.719 0.360 0.125
Mg3 0.315 0.661 0.910
Mg4 0.315 0.154 0.340
Mg5 0.836 0.168 0.876
Mg6 0.315 0.154 0.910
Mg7 0.664 0.832 0.625
Fe1 0.149 0.324 0.125
Mg8 0.315 0.661 0.340
Mg9 0.834 0.667 0.373
Mg10 0.834 0.667 0.877
Mg11 0.176 0.338 0.625
Mg12 0.836 0.168 0.374
Ni1 0.138 0.819 0.125
Mg13 0.664 0.332 0.625
Mg14 0.719 0.859 0.125

## Properties
Energy relative to the lowest polymorph listed for this composition in eV/atom: 0.000
Space group: Amm2 (38)

[6]
This record from the Materials Project describes crystalline Mg6FeNi at its relaxed geometry. The functional is PBE-GGA.

a = 5.995 Å, b = 5.995 Å, c = 4.745 Å
α = 90.00°, β = 90.00°, γ = 120.00°
Element x y z (fractional)
Ni1 0.667 0.333 0.500
Mg1 0.174 0.826 0.500
Mg2 0.827 0.173 0.000
Mg3 0.651 0.826 0.500
Mg4 0.827 0.653 0.000
Mg5 0.347 0.173 0.000
Fe1 0.333 0.667 0.000
Mg6 0.174 0.349 0.500

## Properties
Energy relative to the lowest polymorph listed for this composition in eV/atom: 0.000
Space group: P-6m2 (187)

[7]
This record from the Materials Project describes crystalline MgFe2Ni4S8 at its relaxed geometry. The functional is PBE-GGA.

a = 6.940 Å, b = 6.940 Å, c = 6.940 Å
α = 56.91°, β = 56.91°, γ = 56.91°
Element x y z (fractional)
S1 0.260 0.739 0.739
Ni1 0.500 0.500 0.000
Ni2 0.500 0.000 0.500
Ni3 0.000 0.500 0.500
Mg1 0.000 0.000 0.000
S2 0.261 0.261 0.740
S3 0.739 0.260 0.739
S4 0.261 0.740 0.261
S5 0.740 0.261 0.261
Fe1 0.861 0.861 0.861
S6 0.262 0.262 0.262
S7 0.738 0.738 0.738
S8 0.739 0.739 0.260
Fe2 0.139 0.139 0.139
Ni4 0.500 0.500 0.500

## Properties
Space group: R-3m (166)

[8]
This record from the Materials Project describes crystalline RbMg14Fe at its relaxed geometry. The functional is PBE-GGA.

a = 6.521 Å, b = 6.478 Å, c = 10.458 Å
α = 90.00°, β = 90.00°, γ = 119.78°
Element x y z (fractional)
Mg1 0.174 0.837 0.625
Mg2 0.165 0.332 0.625
Mg3 0.338 0.182 0.868
Mg4 0.666 0.326 0.625
Mg5 0.338 0.657 0.382
Mg6 0.666 0.840 0.625
Mg7 0.849 0.174 0.356
Mg8 0.849 0.174 0.894
Rb1 0.143 0.822 0.125
Mg9 0.823 0.662 0.854
Mg10 0.823 0.662 0.396
Mg11 0.338 0.657 0.868
Mg12 0.642 0.329 0.125
Mg13 0.642 0.813 0.125
Fe1 0.206 0.353 0.125
Mg14 0.338 0.182 0.382

## Properties
Space group: Amm2 (38)

[9]
This record from the Materials Project describes crystalline RbMg6Fe at its relaxed geometry. The functional is PBE-GGA.

a = 6.591 Å, b = 6.591 Å, c = 5.317 Å
α = 90.00°, β = 90.00°, γ = 119.47°
Element x y z (fractional)
Fe1 0.854 0.146 0.500
Mg1 0.153 0.847 0.000
Mg2 0.835 0.675 0.500
Mg3 0.672 0.328 0.000
Mg4 0.138 0.310 0.000
Mg5 0.325 0.165 0.500
Rb1 0.334 0.666 0.500
Mg6 0.690 0.862 0.000

## Properties
Energy relative to the lowest polymorph listed for this composition in eV/atom: 0.026
Space group: Amm2 (38)

[10]
This record from the Materials Project describes crystalline RbMg6Fe at its relaxed geometry. The functional is PBE-GGA.

a = 5.034 Å, b = 6.742 Å, c = 11.746 Å
α = 90.00°, β = 90.00°, γ = 90.00°
Element x y z (fractional)
Mg1 0.500 0.000 0.166
Mg2 0.000 0.221 0.066
Rb1 0.500 0.500 0.170
Mg3 0.000 0.779 0.066
Mg4 0.000 0.721 0.566
Mg5 0.000 0.279 0.566
Mg6 0.500 0.272 0.413
Fe1 0.000 0.000 0.872
Rb2 0.500 0.000 0.670
Mg7 0.500 0.500 0.666
Fe2 0.000 0.500 0.372
Mg8 0.000 0.500 0.834
Mg9 0.500 0.728 0.413
Mg10 0.500 0.772 0.913
Mg11 0.500 0.228 0.913
Mg12 0.000 0.000 0.334

## Properties
Energy relative to the lowest polymorph listed for this composition in eV/atom: 0.000

[11]
This record from the Materials Project describes crystalline MgFe4S6 at its relaxed geometry. The functional is PBE-GGA.

a = 6.218 Å, b = 6.219 Å, c = 6.218 Å
α = 55.71°, β = 55.71°, γ = 55.71°
Element x y z (fractional)
Fe1 0.346 0.346 0.346
S1 0.261 0.551 0.931
S2 0.449 0.069 0.739
S3 0.739 0.449 0.069
S4 0.931 0.261 0.551
Fe2 0.162 0.162 0.162
Mg1 0.000 0.000 0.000
Fe3 0.654 0.654 0.654
S5 0.551 0.931 0.261
S6 0.069 0.739 0.449
Fe4 0.838 0.838 0.838

## Properties
Space group: R-3 (148)

[12]
This record from the Materials Project describes crystalline MgFe2S4 at its relaxed geometry. The functional is PBE-GGA.

a = 6.976 Å, b = 6.976 Å, c = 6.976 Å
α = 120.45°, β = 118.42°, γ = 90.99°
Element x y z (fractional)
S1 0.290 0.255 0.035
S2 0.262 0.754 0.992
Mg1 0.500 0.000 0.500
Fe1 0.000 0.500 0.500
S3 0.738 0.246 0.008
S4 0.721 0.255 0.465
S5 0.262 0.270 0.508
S6 0.279 0.745 0.535
Mg2 0.000 0.000 0.000
Fe2 0.500 0.000 0.000
S7 0.710 0.745 0.965
Fe3 0.500 0.500 0.500
Fe4 0.500 0.500 0.000
S8 0.738 0.730 0.492

## Properties
Space group: Imma (74)

no.,formation energy from the elements (eV/atom)
1,0.21
2,0.17
3,0.13
4,0.15
5,0.08
6,0.12
7,-0.61
8,0.23
9,0.46
10,0.43
11,-0.69
12,-0.80